First-principles (PBE with a Hubbard U) data for Li2TiCr3O8 after structural relaxation, as listed in Materials Project.

a = 5.9024 Å, b = 5.9024 Å, c = 9.4352 Å
α = 90.00°, β = 90.00°, γ = 120.00°
Space group P6_3mc (No. 186)
Unique sites:
1 Li 0.0000 0.0000 0.0000 [2 per cell]
2 Li 0.3333 0.6667 0.3961 [2 per cell]
3 Ti 0.3333 0.6667 0.0031 [2 per cell]
4 Cr 0.1719 0.3437 0.7221 [6 per cell]
5 O 0.0000 0.0000 0.3067 [2 per cell]
6 O 0.0402 0.5201 0.8473 [6 per cell]
7 O 0.1675 0.3350 0.1015 [6 per cell]
8 O 0.3333 0.6667 0.6094 [2 per cell]

Summary:
- ρ (g cm⁻³) = 4.0
- uncorrected energy (eV/cell) = -208.712
- formation energy (meV/atom) = -2542
- E above lowest polymorph (kJ/mol of atoms) = 2.5